This record from the Materials Project describes a geometry-optimized Li4V3P8O29 structure. The functional is PBE+U.

Structure (CIF):
```
data_Li4V3P8O29
_cell_length_a 16.8896
_cell_length_b 9.7633
_cell_length_c 14.1669
_cell_angle_alpha 90.00
_cell_angle_beta 90.38
_cell_angle_gamma 90.00
_symmetry_space_group_name_H-M 'C 1 c 1'
_symmetry_Int_Tables_number 9
loop_
_symmetry_equiv_pos_as_xyz
'x,y,z'
'x,-y,z+1/2'
'x+1/2,y+1/2,z'
'x+1/2,-y+1/2,z+1/2'
loop_
_atom_site_label
_atom_site_type_symbol
_atom_site_fract_x
_atom_site_fract_y
_atom_site_fract_z
_atom_site_occupancy
Li1 Li 0.0000 0.0292 0.0000 1
Li2 Li 0.0677 0.2832 0.0625 1
Li3 Li 0.1393 0.2101 0.5654 1
Li4 Li 0.4686 0.2187 0.9471 1
V1 V 0.0187 0.4339 0.2534 1
V2 V 0.2403 0.2172 0.7555 1
V3 V 0.3003 0.2853 0.2538 1
P1 P 0.0651 0.2693 0.8451 1
P2 P 0.1325 0.1990 0.3509 1
P3 P 0.1706 0.0687 0.1671 1
P4 P 0.1848 0.4993 0.6356 1
P5 P 0.3529 0.0019 0.3722 1
P6 P 0.3680 0.4326 0.8432 1
P7 P 0.4082 0.3059 0.6579 1
P8 P 0.4739 0.2323 0.1656 1
O1 O 0.0158 0.2236 0.5768 1
O2 O 0.0180 0.2023 0.7562 1
O3 O 0.0315 0.2176 0.9356 1
O4 O 0.0604 0.2982 0.3413 1
O5 O 0.0627 0.4242 0.8324 1
O6 O 0.1115 0.4195 0.1744 1
O7 O 0.1169 0.1081 0.0873 1
O8 O 0.1238 0.0911 0.2657 1
O9 O 0.1298 0.1258 0.4433 1
O10 O 0.1516 0.2173 0.8322 1
O11 O 0.1830 0.3496 0.6765 1
O12 O 0.1848 0.5002 0.0305 1
O13 O 0.1904 0.0868 0.6651 1
O14 O 0.2102 0.2785 0.3322 1
O15 O 0.2479 0.1537 0.1759 1
O16 O 0.2586 0.4287 0.1836 1
O17 O 0.2797 0.0738 0.8219 1
O18 O 0.2900 0.3479 0.8328 1
O19 O 0.3274 0.2324 0.6731 1
O20 O 0.3469 0.0007 0.4765 1
O21 O 0.3472 0.4138 0.3386 1
O22 O 0.3516 0.1466 0.3239 1
O23 O 0.3885 0.2871 0.1705 1
O24 O 0.4162 0.3913 0.5722 1
O25 O 0.4178 0.3952 0.9272 1
O26 O 0.4189 0.4014 0.7506 1
O27 O 0.4263 0.0795 0.8364 1
O28 O 0.4740 0.0747 0.1780 1
O29 O 0.4763 0.1990 0.6651 1
```

This record from the Materials Project describes a geometry-optimized MgZn2CoWO6 structure. The functional is PBE+U.

Structure (CIF):
```
data_MgZn2CoWO6
_cell_length_a 5.3211
_cell_length_b 5.3535
_cell_length_c 6.0165
_cell_angle_alpha 90.97
_cell_angle_beta 115.80
_cell_angle_gamma 119.02
_symmetry_space_group_name_H-M 'P 1'
_symmetry_Int_Tables_number 1
loop_
_symmetry_equiv_pos_as_xyz
'x,y,z'
loop_
_atom_site_label
_atom_site_type_symbol
_atom_site_fract_x
_atom_site_fract_y
_atom_site_fract_z
_atom_site_occupancy
Mg1 Mg 0.0000 0.0000 0.0000 1
Zn1 Zn 0.6450 0.8221 0.4560 1
Zn2 Zn 0.7690 0.3814 0.1582 1
Co1 Co 0.4170 0.2061 0.6523 1
W1 W 0.2631 0.6220 0.8989 1
O1 O 0.0873 0.8634 0.7124 1
O2 O 0.1514 0.7266 0.1618 1
O3 O 0.4265 0.4175 0.1704 1
O4 O 0.4635 0.6059 0.7058 1
O5 O 0.7399 0.0061 0.1683 1
O6 O 0.8280 0.2227 0.7161 1
```

This record from the Materials Project describes a geometry-optimized Li9Mn2Co5O16 structure. The functional is PBE+U.

Structure (CIF):
```
data_Li9Mn2Co5O16
_cell_length_a 5.0651
_cell_length_b 5.9036
_cell_length_c 10.3941
_cell_angle_alpha 75.76
_cell_angle_beta 76.79
_cell_angle_gamma 75.24
_symmetry_space_group_name_H-M 'P 1'
_symmetry_Int_Tables_number 1
loop_
_symmetry_equiv_pos_as_xyz
'x,y,z'
loop_
_atom_site_label
_atom_site_type_symbol
_atom_site_fract_x
_atom_site_fract_y
_atom_site_fract_z
_atom_site_occupancy
Li1 Li 0.0000 0.0000 0.0000 1
Li2 Li 0.0012 0.6370 0.2407 1
Li3 Li 0.0072 0.8887 0.7361 1
Li4 Li 0.0122 0.1390 0.2402 1
Li5 Li 0.4926 0.3280 0.1184 1
Li6 Li 0.9818 0.5104 0.9988 1
Li7 Li 0.9908 0.3973 0.7348 1
Li8 Li 0.9948 0.2635 0.4887 1
Li9 Li 0.9971 0.7657 0.4870 1
Mn1 Mn 0.5003 0.1961 0.8690 1
Mn2 Mn 0.5016 0.6940 0.8681 1
Co1 Co 0.4920 0.4533 0.3588 1
Co2 Co 0.4962 0.9621 0.3613 1
Co3 Co 0.4969 0.5753 0.6154 1
Co4 Co 0.4988 0.8247 0.1145 1
Co5 Co 0.5013 0.0749 0.6126 1
O1 O 0.2576 0.3036 0.3089 1
O2 O 0.2641 0.9370 0.5467 1
O3 O 0.2657 0.8017 0.2910 1
O4 O 0.2695 0.5582 0.7962 1
O5 O 0.2724 0.4209 0.5590 1
O6 O 0.2787 0.6810 0.0452 1
O7 O 0.2804 0.1393 0.0503 1
O8 O 0.2841 0.0179 0.8087 1
O9 O 0.7145 0.6064 0.4382 1
O10 O 0.7153 0.9711 0.1812 1
O11 O 0.7162 0.5239 0.1775 1
O12 O 0.7198 0.3783 0.9189 1
O13 O 0.7201 0.7253 0.6821 1
O14 O 0.7321 0.2104 0.6864 1
O15 O 0.7329 0.8343 0.9375 1
O16 O 0.7358 0.1132 0.4251 1
```

This record from the Materials Project describes a geometry-optimized Li9Mn2Co5O16 structure. The functional is PBE+U.

Structure (CIF):
```
data_Li9Mn2Co5O16
_cell_length_a 11.7135
_cell_length_b 5.7690
_cell_length_c 8.5058
_cell_angle_alpha 90.00
_cell_angle_beta 90.30
_cell_angle_gamma 90.00
_symmetry_space_group_name_H-M 'C 1 2/m 1'
_symmetry_Int_Tables_number 12
loop_
_symmetry_equiv_pos_as_xyz
'x,y,z'
'-x,-y,-z'
'-x,y,-z'
'x,-y,z'
'x+1/2,y+1/2,z'
'-x+1/2,-y+1/2,-z'
'-x+1/2,y+1/2,-z'
'x+1/2,-y+1/2,z'
loop_
_atom_site_label
_atom_site_type_symbol
_atom_site_fract_x
_atom_site_fract_y
_atom_site_fract_z
_atom_site_occupancy
Li1 Li 0.0000 0.0000 0.0000 1
Li2 Li 0.0000 0.0000 0.5000 1
Li3 Li 0.0000 0.5000 0.0000 1
Li4 Li 0.1240 0.2488 0.2605 1
Li5 Li 0.2501 0.0000 0.5012 1
Mn1 Mn 0.2496 0.0000 0.9976 1
Co1 Co 0.0000 0.5000 0.5000 1
Co2 Co 0.1222 0.2462 0.7383 1
O1 O 0.0023 0.5000 0.7288 1
O2 O 0.0116 0.0000 0.7580 1
O3 O 0.1159 0.2683 0.5074 1
O4 O 0.1357 0.2520 0.9992 1
O5 O 0.2383 0.5000 0.7564 1
O6 O 0.2447 0.0000 0.7546 1
```

It is found that the ρ values, taken in the order of the records, are 2.5, 6.4, 4.2, 4.2 Mg/m³.
It is found that the polymorph energy (0 for the lowest one) values, taken in the order of the records, are 9, 0, 145, 59 meV/atom.
It is found that the formation energy from the elements values, taken in the order of the records, are -2.5744, -1.8091, -1.7195, -1.8053 eV/atom.